Below is a geometry-optimized MgBi2O4 structure, with properties calculated at the PBE level.

Lattice parameters (Å, degrees): 4.5904 4.6186 6.7831 73.38 67.08 83.35
Element x y z (fractional)
1 O 0.9754 0.3118 0.8974
2 O 0.6231 0.8499 0.7393
3 Bi 0.8851 0.0668 0.2584
4 Mg 0.5000 0.5000 0.0000
5 O 0.0246 0.6882 0.1026
6 Bi 0.1149 0.9332 0.7416
7 O 0.3769 0.1501 0.2607

Calculated values
The calculation puts the formation energy at -1.807 eV/atom. As for the final energy: -5.5815 eV per atom. As for the corrected total energy (MP2020 scheme): -5.97 eV per atom. For the offset from the most stable computed form, the calculation gives 192 meV per atom.

***

Below is a geometry-optimized EuCl2 structure, with properties calculated at the PBE level.

Lattice parameters (Å, degrees): 6.7195 6.7195 4.4254 90.00 90.00 90.00
Element x y z (fractional)
1 Cl 0.1961 0.8039 0.5000
2 Eu 0.5000 0.5000 0.5000
3 Cl 0.3039 0.3039 0.0000
4 Cl 0.8039 0.1961 0.5000
5 Cl 0.6961 0.6961 0.0000
6 Eu 0.0000 0.0000 0.0000

Calculated values
The calculation puts the formation energy at -2.779 eV/atom. As for the final energy: -7.0209 eV per atom. As for the corrected total energy (MP2020 scheme): -7.43 eV per atom.

***

Below is a geometry-optimized Sb2XeClF11 structure, with properties calculated at the PBE level.

Lattice parameters (Å, degrees): 7.5605 17.7961 18.3369 90.00 90.00 90.00
Element x y z (fractional)
1 F 0.2867 0.3345 0.8689
2 Sb 0.3655 0.6367 0.0973
3 Xe 0.3416 0.8938 0.0231
4 F 0.6298 0.4861 0.6884
5 F 0.7426 0.6930 0.9210
6 F 0.7133 0.8345 0.1311
7 F 0.3519 0.1574 0.4355
8 F 0.5402 0.2559 0.5147
9 Xe 0.1584 0.8938 0.5231
10 Cl 0.6049 0.1577 0.1875
11 Cl 0.3951 0.6577 0.8125
12 F 0.0354 0.8969 0.0950
13 F 0.7098 0.2091 0.3617
14 F 0.2507 0.5602 0.6505
15 F 0.7270 0.9826 0.1107
16 Sb 0.4486 0.1580 0.5312
17 Sb 0.4449 0.8851 0.2992
18 F 0.7525 0.3443 0.6513
19 Sb 0.6345 0.1367 0.9027
20 F 0.3365 0.4311 0.7530
21 Sb 0.0551 0.8851 0.7992
22 Xe 0.8411 0.6599 0.2439
23 Sb 0.5551 0.3851 0.7008
24 F 0.7493 0.0602 0.3495
25 F 0.4996 0.0631 0.9524
26 F 0.7902 0.2091 0.8617
27 F 0.4565 0.7128 0.0355
28 Cl 0.6042 0.8823 0.9548
29 F 0.4191 0.3936 0.6132
30 F 0.1635 0.4311 0.2530
31 F 0.4543 0.3438 0.2642
32 F 0.3420 0.8845 0.2046
33 F 0.9206 0.1521 0.1203
34 Sb 0.9486 0.6580 0.9688
35 F 0.6787 0.1181 0.4830
36 F 0.8420 0.3845 0.2954
37 F 0.7475 0.3443 0.1513
38 F 0.9543 0.8438 0.2358
39 Cl 0.1049 0.6577 0.3125
40 F 0.9795 0.9937 0.2130
41 F 0.4597 0.1521 0.8273
42 Sb 0.8567 0.9134 0.1685
43 F 0.6131 0.5551 0.4582
44 F 0.5435 0.2128 0.9645
45 F 0.0809 0.3936 0.1132
46 F 0.1481 0.1574 0.9355
47 F 0.2902 0.7091 0.6383
48 F 0.1787 0.6181 0.0170
49 F 0.1298 0.9861 0.8116
50 F 0.3869 0.0551 0.5418
51 F 0.4646 0.8969 0.5950
52 F 0.0435 0.7128 0.5355
53 Cl 0.3958 0.3823 0.0452
54 Sb 0.8655 0.1367 0.4027
55 F 0.0004 0.0631 0.4524
56 F 0.9646 0.3969 0.9050
57 F 0.9597 0.6521 0.6727
58 Sb 0.3567 0.4134 0.3315
59 F 0.7730 0.9826 0.6107
60 F 0.0478 0.2895 0.2187
61 F 0.4206 0.6521 0.3797
62 Cl 0.8951 0.1577 0.6875
63 Sb 0.1345 0.6367 0.5973
64 Xe 0.8416 0.3938 0.4769
65 F 0.5354 0.3969 0.4050
66 Sb 0.5514 0.6580 0.4688
67 Xe 0.3411 0.1599 0.2561
68 F 0.2133 0.3345 0.3689
69 F 0.4598 0.7559 0.4853
70 Xe 0.1589 0.1599 0.7561
71 Cl 0.1042 0.3823 0.5452
72 Sb 0.1433 0.4134 0.8315
73 F 0.5809 0.8936 0.3868
74 Sb 0.6433 0.9134 0.6685
75 F 0.5403 0.6521 0.1727
76 F 0.9565 0.2128 0.4645
77 F 0.5478 0.7895 0.2813
78 F 0.0457 0.3438 0.7642
79 F 0.0205 0.4937 0.7870
80 F 0.9522 0.7895 0.7813
81 Xe 0.6584 0.3938 0.9769
82 F 0.8869 0.5551 0.9582
83 F 0.6580 0.3845 0.7954
84 F 0.1131 0.0551 0.0418
85 F 0.2574 0.1930 0.0790
86 F 0.6481 0.6574 0.5645
87 Xe 0.6589 0.6599 0.7439
88 Sb 0.0514 0.1580 0.0312
89 F 0.3702 0.9861 0.3116
90 Cl 0.8958 0.8823 0.4548
91 F 0.5794 0.1521 0.6203
92 F 0.7574 0.6930 0.4210
93 F 0.5205 0.9937 0.7130
94 F 0.2426 0.1930 0.5790
95 F 0.2730 0.4826 0.8893
96 F 0.2475 0.8443 0.3487
97 F 0.8365 0.9311 0.7470
98 F 0.5004 0.5631 0.0476
99 F 0.8519 0.6574 0.0645
100 F 0.2525 0.8443 0.8487
101 F 0.6635 0.9311 0.2470
102 F 0.1580 0.8845 0.7046
103 F 0.8213 0.1181 0.9830
104 F 0.7507 0.0602 0.8495
105 F 0.8702 0.4861 0.1884
106 F 0.4795 0.4937 0.2870
107 F 0.7867 0.8345 0.6311
108 F 0.0794 0.6521 0.8797
109 F 0.9598 0.2559 0.0147
110 F 0.2098 0.7091 0.1383
111 F 0.2270 0.4826 0.3893
112 F 0.3213 0.6181 0.5170
113 F 0.2493 0.5602 0.1505
114 Sb 0.9449 0.3851 0.2008
115 F 0.9191 0.8936 0.8868
116 F 0.0402 0.7559 0.9853
117 F 0.9996 0.5631 0.5476
118 F 0.5457 0.8438 0.7358
119 F 0.4522 0.2895 0.7187
120 F 0.0403 0.1521 0.3273

Calculated values
The calculation puts the formation energy at -2.174 eV/atom. As for the final energy: -3.9154 eV per atom. As for the corrected total energy (MP2020 scheme): -4.25 eV per atom.

***

Below is a geometry-optimized Na4TaGa3P6O24 structure, with properties calculated at the PBE level.

Lattice parameters (Å, degrees): 8.6813 8.6740 22.1443 89.98 90.09 119.98
Element x y z (fractional)
1 O 0.1553 0.6976 0.4744
2 O 0.5443 0.6985 0.9765
3 O 0.6978 0.5354 0.5281
4 O 0.4786 0.3111 0.7436
5 O 0.9670 0.7948 0.8055
6 Na 0.6665 0.3329 0.3332
7 O 0.3106 0.8325 0.2565
8 P 0.0001 0.2888 0.2503
9 Ga 0.3400 0.6726 0.5159
10 O 0.6933 0.1623 0.0296
11 Ga 0.0005 0.0006 0.3536
12 Na 0.0003 0.6346 0.2502
13 O 0.8341 0.0220 0.0888
14 O 0.1921 0.0256 0.5880
15 Ga 0.9932 0.9994 0.6517
16 O 0.1456 0.6426 0.0771
17 P 0.9638 0.6265 0.0851
18 O 0.1792 0.2142 0.6902
19 O 0.9783 0.1651 0.5888
20 O 0.8326 0.3110 0.2437
21 P 0.3781 0.0399 0.5854
22 P 0.0495 0.3736 0.9175
23 O 0.4941 0.1266 0.6402
24 Ta 0.6660 0.3317 0.9775
25 Ga 0.3334 0.6671 0.3187
26 Na 0.3650 0.3655 0.2506
27 Ga 0.6674 0.3324 0.1814
28 P 0.7109 0.7108 0.2496
29 O 0.6419 0.1406 0.4237
30 O 0.3516 0.8517 0.5767
31 Ta 0.6675 0.3328 0.4780
32 O 0.8816 0.5150 0.1430
33 P 0.6255 0.9513 0.4153
34 O 0.9681 0.8066 0.0888
35 P 0.2897 0.2817 0.7493
36 Na 0.6668 0.3332 0.8271
37 O 0.0411 0.2111 0.1940
38 O 0.5016 0.8532 0.0773
39 O 0.1649 0.1883 0.4105
40 O 0.8618 0.3609 0.9244
41 O 0.4897 0.3713 0.1418
42 O 0.8740 0.3726 0.6391
43 O 0.0226 0.1884 0.9097
44 O 0.8385 0.8079 0.5887
45 Na 0.9913 0.9990 0.4976
46 Ta 0.3327 0.6666 0.8099
47 O 0.8262 0.0338 0.8070
48 O 0.1208 0.6325 0.3585
49 O 0.4958 0.6389 0.5759
50 Ga 0.9997 0.0002 0.8508
51 Na 0.6340 0.9998 0.2506
52 O 0.7863 0.8253 0.1917
53 O 0.8357 0.5320 0.0300
54 O 0.8322 0.5218 0.7432
55 O 0.2052 0.1724 0.8054
56 Na 0.3434 0.6756 0.6654
57 P 0.2884 0.9999 0.2502
58 Na 0.3246 0.6659 0.1629
59 O 0.8114 0.8341 0.9102
60 Na 0.2991 0.3318 0.5855
61 O 0.6267 0.5031 0.6392
62 O 0.1673 0.4784 0.2567
63 O 0.5030 0.6376 0.8626
64 P 0.3263 0.3751 0.4163
65 O 0.1429 0.4988 0.5766
66 O 0.6395 0.5006 0.9243
67 O 0.4779 0.1674 0.2435
68 O 0.6885 0.5209 0.2437
69 Na 0.0345 0.6997 0.5853
70 O 0.0353 0.8216 0.6902
71 O 0.2100 0.0411 0.3059
72 O 0.8322 0.7924 0.3047
73 O 0.4988 0.3581 0.4241
74 O 0.5267 0.8353 0.7580
75 O 0.1656 0.9777 0.9095
76 O 0.1593 0.4580 0.9742
77 O 0.0232 0.8354 0.4104
78 O 0.6338 0.1193 0.1428
79 O 0.5218 0.6892 0.2562
80 Na 0.6662 0.7009 0.0825
81 O 0.1645 0.6919 0.7572
82 O 0.7868 0.9619 0.6927
83 Ga 0.6662 0.3315 0.6880
84 Ga 0.3269 0.6660 0.0175
85 O 0.9592 0.1691 0.3059
86 O 0.1900 0.1617 0.0887
87 O 0.5134 0.8818 0.3571
88 O 0.8124 0.9771 0.4099
89 O 0.8592 0.5014 0.4236
90 O 0.3014 0.4576 0.4743
91 P 0.7184 0.0077 0.7501
92 P 0.3238 0.9505 0.9174
93 O 0.3619 0.5032 0.0768
94 O 0.3625 0.8674 0.8613
95 P 0.9919 0.7106 0.7492
96 O 0.1323 0.4956 0.8614
97 O 0.8389 0.3045 0.5278
98 P 0.9563 0.3303 0.5854
99 O 0.6898 0.1677 0.7438
100 P 0.3706 0.3312 0.0846
101 O 0.4669 0.1625 0.5283
102 O 0.1692 0.9584 0.1939
103 O 0.4989 0.1384 0.9240
104 Na 0.0085 0.0077 0.9970
105 O 0.4683 0.3058 0.0292
106 O 0.3002 0.8421 0.9742
107 O 0.3085 0.4731 0.7574
108 O 0.5410 0.8406 0.4719
109 Ga 0.0065 0.0056 0.1471
110 P 0.6265 0.6757 0.9182
111 P 0.0487 0.6739 0.4161
112 P 0.6656 0.6268 0.5852
113 O 0.3678 0.4885 0.3586
114 P 0.6660 0.0398 0.0851

Calculated values
The calculation puts the formation energy at -2.674 eV/atom. As for the final energy: -6.9097 eV per atom. As for the corrected total energy (MP2020 scheme): -7.34 eV per atom.

***

Which of these has the lowest corrected total energy (MP2020 scheme)? EuCl2

***

Which of these has the highest corrected total energy (MP2020 scheme)? Sb2XeClF11

***

Which of these has the highest final energy? Sb2XeClF11

***

The lowest corrected total energy (MP2020 scheme) belongs to which entry? EuCl2